Entry A
DFT (PBE) results for a geometry-optimized Ba2LaMgBiO6 structure.

Results
magnetization	0.00	μB per cell

```
11
Lattice="5.525 -3.107 0.000 5.525 3.107 0.000 -3.914 0.000 5.874" Properties=species:S:1:pos:R:3 pbc="T T T"
Ba 0.000 0.000 0.000
Ba 3.662 0.000 4.035
La 4.046 0.000 0.271
Mg -0.556 0.000 3.178
Bi 7.436 0.000 2.459
O 0.716 1.505 3.936
O -1.738 0.000 4.765
O 3.827 1.697 1.890
O 0.716 -1.505 3.936
O 6.391 0.000 0.533
O 3.827 -1.697 1.890
```


Entry B
DFT (PBE) results for a geometry-optimized Ba2LaMgBiO6 structure.

Results
magnetization	0.00	μB per cell

```
11
Lattice="6.016 -3.137 0.000 6.016 3.137 0.000 -2.402 0.000 5.583" Properties=species:S:1:pos:R:3 pbc="T T T"
Ba 2.207 0.000 0.981
Ba 7.423 0.000 4.602
La -1.201 0.000 2.792
Mg 4.815 0.000 2.792
Bi 6.016 0.000 0.000
O 4.469 1.496 1.190
O 5.161 1.496 4.393
O 2.747 0.000 3.426
O 6.883 0.000 2.157
O 4.469 -1.496 1.190
O 5.161 -1.496 4.393
```


If you had to bet on the most stable structure above, which would it be? Bet on entry A.